{
  "formula": "YUCo10",
  "functional": "r²SCAN",
  "state": "relaxed",
  "sg": "No. 47",
  "e_form_ev_per_atom": -0.077,
  "total_magnetization_mub_per_fu": 12.38,
  "dft_energy_ev_per_atom": -19.4598,
  "cell": [[3.9784, 0.0000, 0.0000], [0.0000, 4.8659, 0.0000], [0.0000, 0.0000, 8.3786]],
  "species": ["Y", "U", "Co", "Co", "Co", "Co", "Co", "Co", "Co", "Co", "Co", "Co"],
  "frac_coords": [[0.0000, 0.0000, 0.0000], [0.0000, 0.5000, 0.5000], [0.0000, 0.0000, 0.3448], [0.0000, 0.0000, 0.6552], [0.0000, 0.5000, 0.1912], [0.0000, 0.5000, 0.8088], [0.5000, 0.0000, 0.5000], [0.5000, 0.2461, 0.2480], [0.5000, 0.2461, 0.7520], [0.5000, 0.5000, 0.0000], [0.5000, 0.7539, 0.2480], [0.5000, 0.7539, 0.7520]]
}

***

{
  "formula": "V3Co",
  "functional": "r²SCAN",
  "state": "relaxed",
  "sg": "No. 223",
  "e_form_ev_per_atom": -0.146,
  "total_magnetization_mub_per_fu": 0.00,
  "dft_energy_ev_per_atom": -14.0213,
  "cell": [[4.6205, 0.0000, 0.0000], [0.0000, 4.6205, 0.0000], [0.0000, 0.0000, 4.6205]],
  "species": ["V", "V", "V", "V", "V", "V", "Co", "Co"],
  "frac_coords": [[0.0000, 0.2500, 0.5000], [0.0000, 0.7500, 0.5000], [0.2500, 0.5000, 0.0000], [0.5000, 0.0000, 0.2500], [0.5000, 0.0000, 0.7500], [0.7500, 0.5000, 0.0000], [0.0000, 0.0000, 0.0000], [0.5000, 0.5000, 0.5000]]
}

***

{
  "formula": "VCo",
  "functional": "r²SCAN",
  "state": "relaxed",
  "sg": "No. 221",
  "e_form_ev_per_atom": -0.149,
  "total_magnetization_mub_per_fu": 1.96,
  "dft_energy_ev_per_atom": -13.8109,
  "cell": [[2.8904, 0.0000, 0.0000], [0.0000, 2.8904, 0.0000], [0.0000, 0.0000, 2.8904]],
  "species": ["V", "Co"],
  "frac_coords": [[0.0000, 0.0000, 0.0000], [0.5000, 0.5000, 0.5000]]
}